No. 1
Compound: Li3AuF6
Source: Materials Project
Functional: PBE-GGA
Structure: relaxed

Cell: 5.767 5.767 5.767 Å, 60.00 60.00 60.00°
Fractional coordinates of all 10 atoms:
F 0.741 0.741 0.259
F 0.259 0.259 0.741
F 0.259 0.741 0.741
F 0.259 0.741 0.259
Li 0.500 0.500 0.500
F 0.741 0.259 0.741
Li 0.250 0.250 0.250
F 0.741 0.259 0.259
Au 0.000 0.000 0.000
Li 0.750 0.750 0.750

Output
crystal system: cubic
calculated volume: 13.56 A^3/atom
spin magnetization: 2.000 μB per cell
formation energy from the elements: -2033.6 kJ/mol of formula units

No. 2
Compound: LaPrC4
Source: Materials Project
Functional: PBE-GGA
Structure: relaxed

Cell: 3.915 3.915 6.554 Å, 90.00 90.00 90.00°
Fractional coordinates of all 6 atoms:
C 0.000 0.000 0.401
Pr 0.000 0.000 0.000
C 0.500 0.500 0.901
La 0.500 0.500 0.500
C 0.500 0.500 0.099
C 0.000 0.000 0.599

Output
crystal system: tetragonal
calculated volume: 16.75 A^3/atom
formation energy from the elements: -74.4 kJ/mol of formula units